LiTi4VO8 | PBE+U | relaxed

* ΔH_f (0 K): -2.897 eV per atom
* E (MP2020): -8.77 eV/atom
* crystal system: triclinic
* E above lowest polymorph: 0.0000 eV per atom
* magnetic moment: 2.14 μB/f.u.

Cell: 5.875 5.905 5.905 Å, 119.69 118.93 91.01°
Atoms (fractional coordinates):
Ti  0.000  0.000  0.000
Ti  0.500  0.500  0.000
O  0.224  0.229  0.016
O  0.700  0.238  0.512
O  0.776  0.771  0.984
O  0.245  0.745  0.004
Ti  0.500  0.000  0.500
O  0.748  0.749  0.499
Ti  0.500  0.500  0.500
Li  0.000  0.500  0.500
V  0.000  0.500  0.000
O  0.252  0.251  0.501
O  0.300  0.762  0.488
O  0.755  0.255  0.996

=====

LiMnP3O9 | PBE+U | relaxed

* ΔH_f (0 K): -2.584 eV per atom
* E (MP2020): -7.72 eV/atom
* crystal system: monoclinic
* E above lowest polymorph: 0.0502 eV per atom
* magnetic moment: 5.00 μB/f.u.

Cell: 12.187 12.187 9.922 Å, 69.60 69.60 110.37°
Atoms (fractional coordinates):
P  0.670  0.949  0.727
O  0.193  0.675  0.925
O  0.350  0.691  0.657
O  0.592  0.411  0.826
O  0.009  0.233  0.885
P  0.481  0.529  0.413
O  0.263  0.264  0.414
Li  0.406  0.144  0.167
O  0.884  0.209  0.221
O  0.700  0.339  0.636
O  0.796  0.774  0.008
O  0.995  0.617  0.341
P  0.320  0.263  0.755
Mn  0.560  0.746  0.570
O  0.264  0.263  0.914
O  0.339  0.700  0.136
Li  0.742  0.806  0.202
Mn  0.073  0.233  0.078
O  0.404  0.348  0.101
O  0.567  0.832  0.732
O  0.006  0.984  0.707
P  0.004  0.610  0.716
P  0.863  0.914  0.851
O  0.072  0.783  0.035
O  0.892  0.229  0.717
O  0.651  0.926  0.323
P  0.263  0.320  0.255
O  0.560  0.090  0.284
O  0.481  0.306  0.688
O  0.000  0.840  0.440
Mn  0.924  0.415  0.537
O  0.553  0.478  0.319
O  0.131  0.749  0.534
P  0.292  0.565  0.283
O  0.411  0.592  0.326
P  0.565  0.292  0.783
O  0.908  0.335  0.380
O  0.840  0.000  0.940
O  0.675  0.193  0.425
O  0.764  0.893  0.776
O  0.832  0.567  0.232
O  0.617  0.995  0.841
O  0.233  0.009  0.385
O  0.783  0.072  0.535
O  0.335  0.908  0.880
O  0.245  0.142  0.747
O  0.924  0.501  0.694
O  0.691  0.350  0.157
P  0.160  0.882  0.382
Li  0.659  0.397  0.440
Li  0.144  0.406  0.667
O  0.142  0.245  0.247
O  0.643  0.572  0.924
P  0.914  0.863  0.351
O  0.774  0.796  0.508
O  0.182  0.462  0.948
P  0.212  0.597  0.823
Mn  0.746  0.560  0.070
O  0.926  0.651  0.823
P  0.610  0.004  0.216
P  0.826  0.214  0.376
Li  0.397  0.659  0.940
O  0.348  0.404  0.601
O  0.462  0.182  0.448
Li  0.806  0.742  0.702
O  0.893  0.764  0.276
P  0.214  0.826  0.876
O  0.478  0.553  0.819
Mn  0.233  0.073  0.578
O  0.749  0.131  0.034
O  0.090  0.560  0.784
P  0.882  0.160  0.882
P  0.597  0.212  0.323
O  0.484  0.157  0.949
O  0.306  0.481  0.188
Mn  0.415  0.924  0.037
O  0.501  0.924  0.194
P  0.529  0.481  0.913
O  0.984  0.006  0.207
O  0.209  0.884  0.721
O  0.157  0.484  0.449
P  0.949  0.670  0.227
O  0.572  0.643  0.424
O  0.229  0.892  0.217

=====

Sr4LaMn5O13 | PBE+U | relaxed

* ΔH_f (0 K): -2.641 eV per atom
* E (MP2020): -7.94 eV/atom
* crystal system: tetragonal
* E above lowest polymorph: 0.0237 eV per atom
* magnetic moment: 20.00 μB/f.u.

Cell: 7.881 8.786 8.786 Å, 90.00 90.00 90.00°
Atoms (fractional coordinates):
O  0.500  0.676  0.417
O  0.500  0.066  0.227
O  0.000  0.227  0.934
Mn  0.000  0.805  0.596
O  0.249  0.417  0.814
Sr  0.751  0.888  0.279
O  0.250  0.000  0.000
La  0.750  0.500  0.500
La  0.250  0.500  0.500
O  0.750  0.000  0.000
O  0.000  0.269  0.608
Mn  0.000  0.000  0.000
O  0.500  0.219  0.925
Sr  0.251  0.279  0.112
O  0.751  0.417  0.814
O  0.000  0.773  0.066
O  0.000  0.583  0.676
O  0.500  0.781  0.075
Sr  0.251  0.721  0.888
Mn  0.500  0.596  0.195
Sr  0.249  0.112  0.721
Mn  0.000  0.397  0.799
O  0.500  0.608  0.731
Sr  0.749  0.279  0.112
O  0.749  0.814  0.583
Mn  0.000  0.603  0.201
O  0.000  0.925  0.781
Mn  0.500  0.799  0.603
O  0.249  0.583  0.186
O  0.000  0.417  0.324
O  0.751  0.583  0.186
Mn  0.500  0.404  0.805
O  0.500  0.392  0.269
Mn  0.000  0.195  0.404
O  0.000  0.075  0.219
O  0.000  0.731  0.392
Mn  0.500  0.000  0.000
Sr  0.749  0.721  0.888
O  0.500  0.324  0.583
O  0.251  0.814  0.583
O  0.500  0.934  0.773
Mn  0.500  0.201  0.397
O  0.251  0.186  0.417
Sr  0.249  0.888  0.279
Sr  0.751  0.112  0.721
O  0.749  0.186  0.417

=====

Fe3P2O16 | PBE+U | relaxed

* ΔH_f (0 K): -0.836 eV per atom
* E (MP2020): -6.33 eV/atom
* crystal system: triclinic
* E above lowest polymorph: 0.3189 eV per atom
* magnetic moment: 14.00 μB/f.u.

Cell: 4.570 7.311 8.320 Å, 99.95 91.74 94.58°
Atoms (fractional coordinates):
O  0.679  0.700  0.163
O  0.684  0.396  0.388
O  0.682  0.103  0.858
O  0.647  0.099  0.580
Fe  0.504  0.338  0.601
Fe  0.000  0.000  0.000
Fe  0.496  0.662  0.399
O  0.318  0.897  0.142
O  0.353  0.901  0.420
P  0.989  0.329  0.329
O  0.447  0.193  0.930
O  0.139  0.250  0.467
O  0.861  0.750  0.533
O  0.169  0.492  0.274
O  0.321  0.300  0.837
O  0.081  0.832  0.820
O  0.316  0.604  0.612
O  0.831  0.508  0.726
P  0.011  0.671  0.671
O  0.919  0.168  0.180
O  0.553  0.807  0.070